[1]
PBE with a Hubbard U KP4W8O32, relaxed; uncorrected energy = -7.416 eV per atom; total magnetization = 0.111 μB/atom; crystal system = monoclinic
1.0
6.8558 -5.4385 0.0000
6.8558 5.4385 0.0000
-5.1622 0.0000 8.9475
K P W O
1 4 8 32
Cartesian
0.0000 0.0000 0.0000 K
0.4149 2.7001 7.7897 P
3.1633 0.0000 1.1607 P
0.4149 -2.7001 7.7897 P
9.9846 0.0000 1.1701 P
-1.6490 0.0000 6.7118 W
2.8585 2.7159 5.2928 W
0.6777 0.0000 3.6500 W
5.1995 2.7040 2.2402 W
5.1946 0.0000 6.7386 W
2.8585 -2.7159 5.2928 W
7.5444 0.0000 3.6758 W
5.1995 -2.7040 2.2402 W
-0.3976 1.4388 7.5020 O
1.7349 2.7340 7.0143 O
-0.6302 0.0000 5.2211 O
4.0229 4.0892 6.2001 O
-2.4129 0.0000 8.6040 O
1.8238 1.3786 4.5191 O
5.9789 2.7385 0.3442 O
6.3661 4.0573 2.7311 O
4.1657 2.7298 3.7672 O
1.8430 0.0000 1.9150 O
3.9667 1.2764 1.4519 O
-0.3976 -1.4388 7.5020 O
4.0830 1.3376 6.1979 O
1.8238 -1.3786 4.5191 O
6.3686 1.3844 2.7651 O
3.9667 -1.2764 1.4519 O
6.4935 1.4284 7.5001 O
1.7349 -2.7340 7.0143 O
6.2806 0.0000 5.1610 O
4.0830 -1.3376 6.1979 O
4.4307 0.0000 8.6127 O
8.6393 1.3352 4.4797 O
5.9789 -2.7385 0.3442 O
6.3686 -1.3844 2.7651 O
4.1657 -2.7298 3.7672 O
8.6697 0.0000 1.9859 O
10.8024 1.2693 1.4553 O
6.4935 -1.4284 7.5001 O
4.0229 -4.0892 6.2001 O
8.6393 -1.3352 4.4797 O
6.3661 -4.0573 2.7311 O
10.8024 -1.2693 1.4553 O

[2]
PBE with a Hubbard U MgMn6O8F4, relaxed; energy above the most stable polymorph in this dataset = 125 meV/atom; total magnetization = 1.263 μB/atom; crystal system = triclinic
1.0
4.9259 0.0000 0.0000
0.0570 5.6780 0.0000
0.4446 0.8689 7.8088
Mg Mn O F
1 6 8 4
Cartesian
0.0000 0.0000 0.0000 Mg
0.4817 5.2314 5.0326 Mn
2.7688 2.4571 5.3788 Mn
2.5208 5.6677 0.0130 Mn
2.6709 4.0660 2.4618 Mn
4.9670 1.2795 2.7896 Mn
4.9505 2.8388 0.0133 Mn
1.3987 3.7680 6.0057 O
1.2679 5.4124 3.3356 O
1.3247 4.2431 0.6562 O
1.7991 1.0626 6.2738 O
3.6401 5.4592 1.5503 O
4.0919 2.2958 7.1723 O
4.0274 2.7521 1.8287 O
4.1929 1.0954 4.4850 O
1.0871 1.2975 1.0533 F
1.7206 2.6068 3.3946 F
3.7248 3.9026 4.4463 F
4.3457 5.2467 6.7632 F

[3]
PBE with a Hubbard U MgFe4P4O16, relaxed; energy above the most stable polymorph in this dataset = 13 meV/atom; total magnetization = 0.720 μB/atom; crystal system = triclinic
1.0
5.3038 0.0000 0.0000
2.2078 7.8362 0.0000
0.5572 -0.0064 8.7876
Mg Fe P O
1 4 4 16
Cartesian
0.0000 0.0000 0.0000 Mg
1.0280 1.5798 4.3105 Fe
3.5780 2.4231 8.7652 Fe
4.4908 5.4109 0.0520 Fe
7.1532 6.3227 4.4907 Fe
2.1296 5.5528 1.4753 P
4.1455 6.4208 5.9538 P
4.0424 1.4758 2.8433 P
5.9393 2.2942 7.3377 P
1.1526 2.5866 5.9168 O
1.7760 1.7628 8.2722 O
3.5318 7.6242 5.1471 O
3.2004 6.6816 1.3946 O
3.1924 5.2854 5.4811 O
2.7968 4.2896 0.8815 O
4.0336 6.6682 7.4752 O
2.5980 1.7633 3.2712 O
5.6166 6.1739 5.5912 O
4.0715 1.1731 1.3291 O
5.2637 3.5432 7.9536 O
4.8732 1.1609 7.4006 O
5.0358 2.6041 3.2356 O
4.6685 0.2889 3.6704 O
6.2953 6.0744 0.5321 O
6.9156 5.3035 2.9048 O

[4]
PBE with a Hubbard U LiVO2, relaxed; uncorrected energy = -6.912 eV per atom; total magnetization = 0.500 μB/atom; crystal system = orthorhombic
1.0
5.8407 0.0000 0.0000
0.0000 5.8473 0.0000
0.0000 0.0000 8.7183
Li V O
8 8 16
Cartesian
0.0000 0.0000 0.0000 Li
0.0000 0.0000 4.3591 Li
1.4511 1.4425 2.1720 Li
1.4511 4.4048 6.5463 Li
2.9204 0.0000 0.0000 Li
2.9204 2.9237 4.3591 Li
4.3897 1.4425 6.5463 Li
4.3897 4.4048 2.1720 Li
0.0000 2.9237 0.0000 V
0.0000 2.9237 4.3591 V
1.4302 1.4027 6.5456 V
1.4302 4.4446 2.1726 V
2.9204 0.0000 4.3591 V
2.9204 2.9237 0.0000 V
4.4105 1.4027 2.1726 V
4.4105 4.4446 6.5456 V
0.0000 0.0000 2.1549 O
0.0000 0.0000 6.5634 O
0.0000 2.9237 2.1906 O
0.0000 2.9237 6.5276 O
1.4410 1.5169 8.6102 O
1.4410 4.3304 0.1081 O
1.4482 1.4932 4.4980 O
1.4482 4.3541 4.2203 O
2.9204 0.0000 2.3363 O
2.9204 0.0000 6.3820 O
2.9204 2.9237 2.0383 O
2.9204 2.9237 6.6800 O
4.3926 1.4932 4.2203 O
4.3926 4.3541 4.4980 O
4.3997 1.5169 0.1081 O
4.3997 4.3304 8.6102 O

Number 1: theoretical density 5.34 g/cm³. Number 2: theoretical density 4.24 g/cm³. Number 3: theoretical density 2.85 g/cm³. Number 4: theoretical density 4.01 g/cm³.